{
  "formula": "Mg14CrSi",
  "functional": "PBE-GGA",
  "state": "relaxed",
  "e_above_lowest_polymorph_ev_per_atom": 0.009,
  "lattice_angstrom": [[6.235, 0.000, 0.000], [-3.117, 5.399, 0.000], [0.000, 0.000, 10.270]],
  "species": ["Mg", "Mg", "Mg", "Mg", "Mg", "Mg", "Mg", "Mg", "Mg", "Mg", "Mg", "Mg", "Mg", "Mg", "Cr", "Si"],
  "fractional_positions": [[0.000, 0.000, 0.249], [0.000, 0.000, 0.751], [0.007, 0.503, 0.250], [0.007, 0.503, 0.750], [0.332, 0.166, 0.500], [0.333, 0.167, 0.000], [0.497, 0.503, 0.250], [0.497, 0.503, 0.750], [0.497, 0.993, 0.250], [0.497, 0.993, 0.750], [0.833, 0.167, 0.000], [0.833, 0.667, 0.000], [0.834, 0.166, 0.500], [0.834, 0.668, 0.500], [0.333, 0.667, 0.000], [0.333, 0.667, 0.500]]
}

=====

{
  "formula": "NdZnIn",
  "functional": "PBE-GGA",
  "state": "relaxed",
  "final_energy_ev_per_cell": -20.3,
  "lattice_angstrom": [[4.757, 0.000, 0.000], [-2.378, 4.120, 0.000], [0.000, 0.000, 7.616]],
  "species": ["Nd", "Nd", "Zn", "Zn", "In", "In"],
  "fractional_positions": [[0.000, 0.000, 0.000], [0.000, 0.000, 0.500], [0.333, 0.667, 0.250], [0.667, 0.333, 0.750], [0.333, 0.667, 0.750], [0.667, 0.333, 0.250]]
}

=====

{
  "formula": "CsInI3",
  "functional": "PBE-GGA",
  "state": "relaxed",
  "final_energy_ev_per_cell": -51.5,
  "lattice_angstrom": [[10.934, 0.000, 0.000], [-2.049, 10.882, 0.000], [-4.033, -1.497, 10.528]],
  "species": ["Cs", "Cs", "Cs", "Cs", "In", "In", "In", "In", "I", "I", "I", "I", "I", "I", "I", "I", "I", "I", "I", "I"],
  "fractional_positions": [[0.231, 0.397, 0.066], [0.246, 0.874, 0.755], [0.754, 0.126, 0.245], [0.769, 0.603, 0.934], [0.242, 0.300, 0.611], [0.269, 0.924, 0.232], [0.731, 0.076, 0.768], [0.758, 0.700, 0.389], [0.041, 0.159, 0.674], [0.120, 0.368, 0.375], [0.143, 0.712, 0.005], [0.365, 0.511, 0.790], [0.371, 0.106, 0.075], [0.431, 0.163, 0.606], [0.569, 0.837, 0.394], [0.629, 0.894, 0.925], [0.635, 0.489, 0.210], [0.857, 0.288, 0.995], [0.880, 0.632, 0.625], [0.959, 0.841, 0.326]]
}

=====

{
  "formula": "Ba15Fe7S25",
  "functional": "PBE-GGA",
  "state": "relaxed",
  "final_energy_ev_per_cell": -1039.8,
  "lattice_angstrom": [[42.303, 0.000, 0.000], [0.000, 9.617, 0.000], [0.000, 0.000, 12.757]],
  "species": ["Ba", "Ba", "Ba", "Ba", "Ba", "Ba", "Ba", "Ba", "Ba", "Ba", "Ba", "Ba", "Ba", "Ba", "Ba", "Ba", "Ba", "Ba", "Ba", "Ba", "Ba", "Ba", "Ba", "Ba", "Ba", "Ba", "Ba", "Ba", "Ba", "Ba", "Ba", "Ba", "Ba", "Ba", "Ba", "Ba", "Ba", "Ba", "Ba", "Ba", "Ba", "Ba", "Ba", "Ba", "Ba", "Ba", "Ba", "Ba", "Ba", "Ba", "Ba", "Ba", "Ba", "Ba", "Ba", "Ba", "Ba", "Ba", "Ba", "Ba", "Fe", "Fe", "Fe", "Fe", "Fe", "Fe", "Fe", "Fe", "Fe", "Fe", "Fe", "Fe", "Fe", "Fe", "Fe", "Fe", "Fe", "Fe", "Fe", "Fe", "Fe", "Fe", "Fe", "Fe", "Fe", "Fe", "Fe", "Fe", "S", "S", "S", "S", "S", "S", "S", "S", "S", "S", "S", "S", "S", "S", "S", "S", "S", "S", "S", "S", "S", "S", "S", "S", "S", "S", "S", "S", "S", "S", "S", "S", "S", "S", "S", "S", "S", "S", "S", "S", "S", "S", "S", "S", "S", "S", "S", "S", "S", "S", "S", "S", "S", "S", "S", "S", "S", "S", "S", "S", "S", "S", "S", "S", "S", "S", "S", "S", "S", "S", "S", "S", "S", "S", "S", "S", "S", "S", "S", "S", "S", "S", "S", "S", "S", "S", "S", "S", "S", "S", "S", "S", "S", "S", "S", "S", "S", "S", "S", "S"],
  "fractional_positions": [[0.015, 0.026, 0.159], [0.015, 0.474, 0.159], [0.024, 0.250, 0.456], [0.087, 0.750, 0.985], [0.094, 0.004, 0.703], [0.094, 0.496, 0.703], [0.109, 0.513, 0.343], [0.109, 0.987, 0.343], [0.112, 0.250, 0.058], [0.185, 0.530, 0.894], [0.185, 0.970, 0.894], [0.186, 0.750, 0.580], [0.215, 0.015, 0.222], [0.215, 0.485, 0.222], [0.225, 0.250, 0.499], [0.275, 0.750, 0.999], [0.285, 0.515, 0.722], [0.285, 0.985, 0.722], [0.314, 0.250, 0.080], [0.315, 0.030, 0.394], [0.315, 0.470, 0.394], [0.388, 0.750, 0.558], [0.391, 0.013, 0.843], [0.391, 0.487, 0.843], [0.406, 0.504, 0.203], [0.406, 0.996, 0.203], [0.413, 0.250, 0.485], [0.476, 0.750, 0.956], [0.485, 0.526, 0.659], [0.485, 0.974, 0.659], [0.515, 0.026, 0.341], [0.515, 0.474, 0.341], [0.524, 0.250, 0.044], [0.587, 0.750, 0.515], [0.594, 0.004, 0.797], [0.594, 0.496, 0.797], [0.609, 0.513, 0.157], [0.609, 0.987, 0.157], [0.612, 0.250, 0.442], [0.685, 0.530, 0.606], [0.685, 0.970, 0.606], [0.686, 0.750, 0.920], [0.715, 0.015, 0.278], [0.715, 0.485, 0.278], [0.725, 0.250, 0.001], [0.775, 0.750, 0.501], [0.785, 0.515, 0.778], [0.785, 0.985, 0.778], [0.814, 0.250, 0.420], [0.815, 0.030, 0.106], [0.815, 0.470, 0.106], [0.888, 0.750, 0.942], [0.891, 0.013, 0.657], [0.891, 0.487, 0.657], [0.906, 0.504, 0.297], [0.906, 0.996, 0.297], [0.913, 0.250, 0.015], [0.976, 0.750, 0.544], [0.985, 0.526, 0.841], [0.985, 0.974, 0.841], [0.030, 0.750, 0.341], [0.036, 0.250, 0.899], [0.057, 0.750, 0.538], [0.145, 0.250, 0.511], [0.159, 0.750, 0.154], [0.170, 0.250, 0.704], [0.234, 0.250, 0.945], [0.266, 0.750, 0.445], [0.330, 0.750, 0.204], [0.341, 0.250, 0.654], [0.355, 0.750, 0.011], [0.443, 0.250, 0.038], [0.464, 0.750, 0.399], [0.470, 0.250, 0.841], [0.530, 0.750, 0.159], [0.536, 0.250, 0.601], [0.557, 0.750, 0.962], [0.645, 0.250, 0.989], [0.659, 0.750, 0.346], [0.670, 0.250, 0.796], [0.734, 0.250, 0.555], [0.766, 0.750, 0.055], [0.830, 0.750, 0.296], [0.841, 0.250, 0.846], [0.855, 0.750, 0.489], [0.943, 0.250, 0.462], [0.964, 0.750, 0.101], [0.970, 0.250, 0.659], [0.008, 0.750, 0.006], [0.022, 0.250, 0.720], [0.037, 0.750, 0.705], [0.038, 0.563, 0.446], [0.038, 0.937, 0.446], [0.061, 0.051, 0.936], [0.061, 0.449, 0.936], [0.064, 0.250, 0.244], [0.066, 0.750, 0.220], [0.093, 0.250, 0.527], [0.108, 0.750, 0.529], [0.134, 0.250, 0.824], [0.136, 0.550, 0.106], [0.136, 0.750, 0.803], [0.136, 0.950, 0.106], [0.163, 0.250, 0.343], [0.164, 0.062, 0.600], [0.164, 0.438, 0.600], [0.168, 0.750, 0.325], [0.192, 0.250, 0.049], [0.206, 0.750, 0.069], [0.222, 0.250, 0.765], [0.234, 0.750, 0.780], [0.240, 0.556, 0.475], [0.240, 0.944, 0.475], [0.260, 0.056, 0.975], [0.260, 0.444, 0.975], [0.266, 0.250, 0.280], [0.278, 0.750, 0.265], [0.294, 0.250, 0.569], [0.308, 0.750, 0.549], [0.332, 0.250, 0.825], [0.336, 0.562, 0.100], [0.336, 0.938, 0.100], [0.337, 0.750, 0.843], [0.364, 0.050, 0.606], [0.364, 0.250, 0.303], [0.364, 0.450, 0.606], [0.366, 0.750, 0.324], [0.392, 0.250, 0.029], [0.407, 0.750, 0.027], [0.434, 0.250, 0.720], [0.436, 0.750, 0.744], [0.439, 0.551, 0.436], [0.439, 0.949, 0.436], [0.462, 0.063, 0.946], [0.462, 0.437, 0.946], [0.463, 0.250, 0.205], [0.478, 0.750, 0.220], [0.492, 0.250, 0.506], [0.508, 0.750, 0.494], [0.522, 0.250, 0.780], [0.537, 0.750, 0.795], [0.538, 0.563, 0.054], [0.538, 0.937, 0.054], [0.561, 0.051, 0.564], [0.561, 0.449, 0.564], [0.564, 0.250, 0.256], [0.566, 0.750, 0.280], [0.593, 0.250, 0.973], [0.608, 0.750, 0.971], [0.634, 0.250, 0.676], [0.636, 0.550, 0.394], [0.636, 0.750, 0.697], [0.636, 0.950, 0.394], [0.663, 0.250, 0.157], [0.664, 0.062, 0.900], [0.664, 0.438, 0.900], [0.668, 0.750, 0.175], [0.692, 0.250, 0.451], [0.706, 0.750, 0.431], [0.722, 0.250, 0.735], [0.734, 0.750, 0.720], [0.740, 0.556, 0.025], [0.740, 0.944, 0.025], [0.760, 0.056, 0.525], [0.760, 0.444, 0.525], [0.766, 0.250, 0.220], [0.778, 0.750, 0.235], [0.794, 0.250, 0.931], [0.808, 0.750, 0.951], [0.832, 0.250, 0.675], [0.836, 0.562, 0.400], [0.836, 0.938, 0.400], [0.837, 0.750, 0.657], [0.864, 0.050, 0.894], [0.864, 0.250, 0.197], [0.864, 0.450, 0.894], [0.866, 0.750, 0.176], [0.892, 0.250, 0.471], [0.907, 0.750, 0.473], [0.934, 0.250, 0.780], [0.936, 0.750, 0.756], [0.939, 0.551, 0.064], [0.939, 0.949, 0.064], [0.962, 0.063, 0.554], [0.962, 0.437, 0.554], [0.963, 0.250, 0.295], [0.978, 0.750, 0.280], [0.992, 0.250, 0.994]]
}

=====

{
  "formula": "Li6CuS4",
  "functional": "PBE-GGA",
  "state": "relaxed",
  "e_above_lowest_polymorph_ev_per_atom": 0.000,
  "lattice_angstrom": [[7.991, 0.000, 0.000], [0.000, 7.991, 0.000], [0.000, 0.000, 5.678]],
  "species": ["Li", "Li", "Li", "Li", "Li", "Li", "Li", "Li", "Li", "Li", "Li", "Li", "Cu", "Cu", "S", "S", "S", "S", "S", "S", "S", "S"],
  "fractional_positions": [[0.027, 0.527, 0.250], [0.027, 0.973, 0.250], [0.250, 0.250, 0.204], [0.250, 0.250, 0.704], [0.473, 0.527, 0.250], [0.473, 0.973, 0.250], [0.527, 0.027, 0.750], [0.527, 0.473, 0.750], [0.750, 0.750, 0.296], [0.750, 0.750, 0.796], [0.973, 0.027, 0.750], [0.973, 0.473, 0.750], [0.250, 0.750, 0.750], [0.750, 0.250, 0.250], [0.005, 0.250, 0.453], [0.250, 0.005, 0.953], [0.250, 0.495, 0.953], [0.495, 0.250, 0.453], [0.505, 0.750, 0.547], [0.750, 0.505, 0.047], [0.750, 0.995, 0.047], [0.995, 0.750, 0.547]]
}

=====

{
  "formula": "LuAl7Fe5",
  "functional": "PBE-GGA",
  "state": "relaxed",
  "final_energy_ev_per_cell": -78.3,
  "lattice_angstrom": [[-2.501, 4.311, 4.285], [2.501, -4.311, 4.285], [2.501, 4.311, -4.285]],
  "species": ["Lu", "Al", "Al", "Al", "Al", "Al", "Al", "Al", "Fe", "Fe", "Fe", "Fe", "Fe"],
  "fractional_positions": [[0.000, 0.000, 0.000], [0.210, 0.501, 0.710], [0.230, 0.730, 0.500], [0.344, 0.344, 0.000], [0.355, 0.013, 0.342], [0.667, 0.667, 0.000], [0.671, 0.013, 0.658], [0.791, 0.501, 0.290], [0.007, 0.004, 0.498], [0.007, 0.509, 0.003], [0.506, 0.004, 0.997], [0.506, 0.509, 0.502], [0.772, 0.272, 0.500]]
}